<1>
Compound: CaTiO2
Source: Materials Project
Functional: PBE
Structure: optimized geometry

a b c (Å): 18.2177 3.0836 9.8663
angles (deg): 90.00 121.97 90.00
Last column: nearest neighbours and their distance in Å.
Space group C2/m (No. 12)
Symmetry-distinct sites (fractional):
Ca 0.0111 0.0000 0.2572 (multiplicity 4)  3 O 2.29-2.48
Ca 0.1533 0.5000 0.1504 (multiplicity 4)  5 O 2.34-2.56
Ti 0.1794 0.0000 0.8434 (multiplicity 4)  6 O 1.95-2.16
Ti 0.1981 0.5000 0.5283 (multiplicity 4)  5 O 2.05-2.17
O 0.0936 0.5000 0.7953 (multiplicity 4)  2 Ti 2.06, 2 Ca 2.29
O 0.1669 0.0000 0.3506 (multiplicity 4)  3 Ti 2.09-2.17
O 0.1833 0.0000 0.6491 (multiplicity 4)  3 Ti 1.95-2.05
O 0.2228 0.0000 0.0766 (multiplicity 4)  3 Ti 2.00-2.16

The calculation puts the density at 3.39 g/cm3. The volume is 470.2 Å³/cell.

<2>
Compound: CaTiO2
Source: Materials Project
Functional: PBE
Structure: optimized geometry

a b c (Å): 3.4305 8.6136 8.8663
angles (deg): 96.32 90.34 99.59
Last column: nearest neighbours and their distance in Å.
Space group P1 (No. 1)
Symmetry-distinct sites (fractional):
Ca 0.0000 0.0000 0.0000 (multiplicity 1)  3 O 2.46-2.55
Ca 0.0091 0.9675 0.6088 (multiplicity 1)  3 O 2.31-2.39
Ca 0.3644 0.6497 0.8537 (multiplicity 1)  4 O 2.26-2.42
Ca 0.8372 0.5875 0.4945 (multiplicity 1)  4 O 2.25-2.51
Ti 0.3598 0.6268 0.1974 (multiplicity 1)  4 O 1.90-2.12
Ti 0.4890 0.9482 0.3054 (multiplicity 1)  3 O 1.94-2.08
Ti 0.7716 0.3569 0.9420 (multiplicity 1)  4 O 1.90-2.02
Ti 0.7809 0.2923 0.6210 (multiplicity 1)  4 O 1.86-2.00
O 0.2536 0.3810 0.5393 (multiplicity 1)  1 Ti 1.86
O 0.2942 0.4391 0.0155 (multiplicity 1)  2 Ti 1.90-1.98
O 0.4158 0.7626 0.4135 (multiplicity 1)  2 Ti 1.94-2.12
O 0.4231 0.8230 0.0896 (multiplicity 1)  2 Ti 2.01-2.08
O 0.5667 0.0932 0.4921 (multiplicity 1)  2 Ti 1.95-1.98
O 0.7882 0.4881 0.7661 (multiplicity 1)  2 Ti 2.00-2.02
O 0.8277 0.5432 0.2397 (multiplicity 1)  2 Ti 1.90-1.92
O 0.8863 0.1746 0.7950 (multiplicity 1)  2 Ti 2.00-2.02

The calculation puts the density at 3.10 g/cm3. The volume is 256.7 Å³/cell.

<3>
Compound: CaTiO2
Source: Materials Project
Functional: PBE
Structure: optimized geometry

a b c (Å): 18.3081 2.9546 11.7641
angles (deg): 90.00 129.14 90.00
Last column: nearest neighbours and their distance in Å.
Space group C2/m (No. 12)
Symmetry-distinct sites (fractional):
Ca 0.0675 0.0000 0.2743 (multiplicity 4)  4 O 2.24-2.39
Ca 0.1345 0.5000 0.0657 (multiplicity 4)  4 O 2.36-2.44
Ti 0.1634 0.5000 0.8502 (multiplicity 4)  4 O 2.08-2.10
Ti 0.2058 0.0000 0.6155 (multiplicity 4)  1 O 1.82
O 0.0900 0.0000 0.8661 (multiplicity 4)  2 Ti 2.08, 1 Ca 2.24
O 0.1440 0.5000 0.4613 (multiplicity 4)  2 Ti 2.04, 2 Ca 2.26
O 0.1733 0.0000 0.7331 (multiplicity 4)  1 Ti 1.82
O 0.1927 0.0000 0.2620 (multiplicity 4)  2 Ti 2.08

The calculation puts the density at 3.23 g/cm3. The volume is 493.6 Å³/cell.

<4>
Compound: CaTiO2
Source: Materials Project
Functional: PBE
Structure: optimized geometry

a b c (Å): 3.0274 8.3386 8.3839
angles (deg): 93.06 90.74 100.08
Last column: nearest neighbours and their distance in Å.
Space group P-1 (No. 2)
Symmetry-distinct sites (fractional):
Ca 0.1410 0.2390 0.4304 (multiplicity 2)  6 O 2.35-2.42
Ca 0.2773 0.5421 0.1762 (multiplicity 2)  5 O 2.22-2.39
Ti 0.0321 0.1022 0.7775 (multiplicity 2)  5 O 2.07-2.29
Ti 0.4086 0.8360 0.9070 (multiplicity 2)  4 O 2.03-2.18
O 0.1446 0.2896 0.9601 (multiplicity 2)  3 Ti 2.11-2.18
O 0.3052 0.6351 0.7392 (multiplicity 2)  1 Ti 2.11, 4 Ca 2.24-2.36
O 0.3612 0.7583 0.3470 (multiplicity 2)  2 Ti 2.11-2.29, 1 Ca 2.22
O 0.4512 0.9462 0.6961 (multiplicity 2)  3 Ti 2.03-2.08

The calculation puts the density at 3.83 g/cm3. The volume is 208.0 Å³/cell.

Which one sits at the bottom of the stability order? <2> does.

<1>
Compound: CaTiO2
Source: Materials Project
Functional: PBE
Structure: optimized geometry

a b c (Å): 2.9872 8.4375 9.0411
angles (deg): 90.92 99.24 100.19
Last column: nearest neighbours and their distance in Å.
Space group P-1 (No. 2)
Symmetry-distinct sites (fractional):
Ca 0.1057 0.4411 0.2628 (multiplicity 2)  5 O 2.29-2.38
Ca 0.3263 0.2364 0.9284 (multiplicity 2)  4 O 2.26-2.29
Ti 0.0636 0.9172 0.7172 (multiplicity 2)  5 O 1.94-2.14
Ti 0.3608 0.8073 0.4128 (multiplicity 2)  5 O 2.03-2.22
O 0.0962 0.2470 0.4439 (multiplicity 2)  3 Ti 1.94-2.03
O 0.2739 0.3511 0.7031 (multiplicity 2)  2 Ti 2.21-2.22, 3 Ca 2.26-2.29, 1 O 2.43
O 0.3158 0.9226 0.2018 (multiplicity 2)  3 Ti 2.10-2.15, 2 Ca 2.28
O 0.4632 0.2303 0.1848 (multiplicity 2)  2 Ti 2.14, 3 Ca 2.29-2.38

The calculation puts the density at 3.60 g/cm3. The volume is 221.1 Å³/cell.

<2>
Compound: CaTiO2
Source: Materials Project
Functional: PBE
Structure: optimized geometry

a b c (Å): 2.9872 8.4375 9.0411
angles (deg): 90.92 99.24 100.19
Last column: nearest neighbours and their distance in Å.
Space group P-1 (No. 2)
Symmetry-distinct sites (fractional):
Ca 0.0468 0.4411 0.2628 (multiplicity 2)  2 O 1.95-2.05
Ca 0.0627 0.2364 0.9284 (multiplicity 2)  1 O 2.00
Ti 0.3319 0.1927 0.5872 (multiplicity 2)  2 O 1.92-1.93
Ti 0.4808 0.9172 0.7172 (multiplicity 2)  3 O 1.80-2.00
O 0.1250 0.3511 0.7031 (multiplicity 2)  1 Ti 1.93, 1 Ca 1.95
O 0.1568 0.7530 0.5561 (multiplicity 2)  2 Ti 1.92-2.00
O 0.1935 0.2303 0.1848 (multiplicity 2)  1 Ti 1.86, 1 Ca 2.05
O 0.2615 0.0774 0.7982 (multiplicity 2)  1 Ti 1.80, 1 Ca 2.00

The calculation puts the density at 3.60 g/cm3. The volume is 221.1 Å³/cell.

Which one sits at the bottom of the stability order? <2> does.

<1>
Compound: Ca2Ti3O8
Source: Materials Project
Functional: PBE
Structure: optimized geometry

a b c (Å): 6.0928 6.0928 10.6194
angles (deg): 90.00 90.00 120.00
Last column: nearest neighbours and their distance in Å.
Space group P6_3mc (No. 186)
Symmetry-distinct sites (fractional):
Ca 0.3333 0.6667 0.0000 (multiplicity 2)  6 O 2.33-2.39
Ca 0.3333 0.6667 0.4042 (multiplicity 2)  4 O 2.17-2.29
Ti 0.1633 0.3265 0.7213 (multiplicity 6)  6 O 1.94-2.09
O 0.0000 0.0000 0.3195 (multiplicity 2)  3 Ti 2.01
O 0.0463 0.5231 0.8258 (multiplicity 6)  2 Ti 2.01, 1 Ca 2.17
O 0.1567 0.3134 0.1322 (multiplicity 6)  2 Ti 1.94
O 0.3333 0.6667 0.6200 (multiplicity 2)  3 Ti 2.09, 1 Ca 2.29

The calculation puts the density at 3.42 g/cm3. The volume is 341.4 Å³/cell.

<2>
Compound: Ca2Ti3O8
Source: Materials Project
Functional: PBE
Structure: optimized geometry

a b c (Å): 11.2307 6.1184 5.0957
angles (deg): 90.00 110.56 90.00
Last column: nearest neighbours and their distance in Å.
Space group C2/m (No. 12)
Symmetry-distinct sites (fractional):
Ca 0.2254 0.0000 0.1630 (multiplicity 4)  6 O 2.32-2.44
Ti 0.0000 0.2333 0.5000 (multiplicity 4)  6 O 1.91-2.13
Ti 0.0000 0.5000 0.0000 (multiplicity 2)  6 O 1.97-1.98
O 0.0998 0.5000 0.4051 (multiplicity 4)  3 Ti 1.97-2.13
O 0.1038 0.0000 0.4530 (multiplicity 4)  2 Ti 1.91
O 0.1040 0.2797 0.8933 (multiplicity 8)  2 Ti 1.95-1.98

The calculation puts the density at 3.56 g/cm3. The volume is 327.9 Å³/cell.

Which one sits at the bottom of the stability order? <1> does.

<1>
Compound: CaTi2O5
Source: Materials Project
Functional: PBE
Structure: optimized geometry

a b c (Å): 3.6260 11.6755 5.0622
angles (deg): 90.00 90.00 90.00
Last column: nearest neighbours and their distance in Å.
Space group Pmmn (No. 59, origin choice 2)
Symmetry-distinct sites (fractional):
Ca 0.2500 0.2500 0.1397 (multiplicity 2)  8 O 2.40-2.61
Ti 0.2500 0.5988 0.3979 (multiplicity 4)  1 O 1.72
O 0.2500 0.0757 0.4628 (multiplicity 4)  3 Ti 1.96-2.06
O 0.2500 0.6282 0.0654 (multiplicity 4)  1 Ti 1.72
O 0.2500 0.7500 0.5491 (multiplicity 2)  2 Ti 1.92

The calculation puts the density at 3.34 g/cm3. The volume is 214.3 Å³/cell.

<2>
Compound: CaTi2O5
Source: Materials Project
Functional: PBE
Structure: optimized geometry

a b c (Å): 3.8154 11.1004 11.5055
angles (deg): 90.00 90.00 90.00
Last column: nearest neighbours and their distance in Å.
Space group Cmcm (No. 63)
Symmetry-distinct sites (fractional):
Ca 0.0000 0.0985 0.2500 (multiplicity 4)  4 O 2.26-2.30
Ti 0.0000 0.2049 0.5969 (multiplicity 8)  1 O 1.69
O 0.0000 0.0544 0.6208 (multiplicity 8)  1 Ti 1.69
O 0.0000 0.2411 0.0757 (multiplicity 8)  3 Ti 2.01-2.03
O 0.0000 0.2855 0.7500 (multiplicity 4)  2 Ti 1.98

The calculation puts the density at 2.94 g/cm3. The volume is 487.3 Å³/cell.

Which one sits at the bottom of the stability order? <2> does.

<1>
Compound: CaY2O4
Source: Materials Project
Functional: PBE
Structure: optimized geometry

a b c (Å): 9.6859 9.6859 9.6859
angles (deg): 90.00 90.00 90.00
Last column: nearest neighbours and their distance in Å.
Space group Fd-3m (No. 227, origin choice 2)
Symmetry-distinct sites (fractional):
Ca 0.1250 0.1250 0.1250 (multiplicity 8)  4 O 2.31
Y 0.0000 0.0000 0.5000 (multiplicity 16)  6 O 2.31
O 0.0127 0.0127 0.7373 (multiplicity 32)  3 Y 2.31, 1 Ca 2.31

The calculation puts the density at 4.12 g/cm3. The volume is 908.7 Å³/cell.

<2>
Compound: CaY2O4
Source: Materials Project
Functional: PBE
Structure: optimized geometry

a b c (Å): 3.3308 11.0813 10.9997
angles (deg): 90.00 90.00 90.00
Last column: nearest neighbours and their distance in Å.
Space group Cmcm (No. 63)
Symmetry-distinct sites (fractional):
Ca 0.0000 0.1106 0.2500 (multiplicity 4)  2 O 2.30
Y 0.0000 0.3674 0.0744 (multiplicity 8)  6 O 2.22-2.37
O 0.0000 0.0000 0.0000 (multiplicity 4)  4 Y 2.37
O 0.0000 0.2670 0.6133 (multiplicity 8)  3 Y 2.27-2.35
O 0.0000 0.4671 0.2500 (multiplicity 4)  2 Y 2.22, 2 Ca 2.30

The calculation puts the density at 4.61 g/cm3. The volume is 406.0 Å³/cell.

Which one sits at the bottom of the stability order? <2> does.